# 1
# CeBiRh

A geometry-optimized CeBiRh structure (meta-GGA r2SCAN, the Materials Project).

Results
- DFT total energy (eV per atom) = -38.664
- total magnetization (μB per cell) = 0.0

```
data_CeBiRh
_chemical_formula_sum 'Ce4 Bi4 Rh4'
_space_group_name_H-M_alt 'P n m a'
_space_group_IT_number 62
_cell_length_a 8.127
_cell_length_b 5.065
_cell_length_c 7.326
_cell_angle_alpha 90.00
_cell_angle_beta 90.00
_cell_angle_gamma 90.00
loop_
_space_group_symop_operation_xyz
'x,y,z'
'-x,-y,-z'
'-x+1/2,-y,z+1/2'
'x+1/2,y,-z+1/2'
'x+1/2,-y+1/2,-z+1/2'
'-x+1/2,y+1/2,z+1/2'
'-x,y+1/2,-z'
'x,-y+1/2,z'
loop_
_atom_site_label
_atom_site_fract_x
_atom_site_fract_y
_atom_site_fract_z
Ce1 0.003 0.250 0.203
Bi1 0.184 0.250 0.607
Rh1 0.215 0.250 0.988
```


# 2
# BiCl3

A geometry-optimized BiCl3 structure (meta-GGA r2SCAN, the Materials Project).

Results
- DFT total energy (eV per atom) = -20.284
- total magnetization (μB per cell) = 0.0

```
data_BiCl3
_chemical_formula_sum 'Bi4 Cl12'
_space_group_name_H-M_alt 'P n m a'
_space_group_IT_number 62
_cell_length_a 7.709
_cell_length_b 8.870
_cell_length_c 6.399
_cell_angle_alpha 90.00
_cell_angle_beta 90.00
_cell_angle_gamma 90.00
loop_
_space_group_symop_operation_xyz
'x,y,z'
'-x,-y,-z'
'-x+1/2,-y,z+1/2'
'x+1/2,y,-z+1/2'
'x+1/2,-y+1/2,-z+1/2'
'-x+1/2,y+1/2,z+1/2'
'-x,y+1/2,-z'
'x,-y+1/2,z'
loop_
_atom_site_label
_atom_site_fract_x
_atom_site_fract_y
_atom_site_fract_z
Bi1 0.061 0.250 0.009
Cl1 0.053 0.750 0.358
Cl2 0.173 0.562 0.860
```


# 3
# Ga3Bi5Cl12

A geometry-optimized Ga3Bi5Cl12 structure (meta-GGA r2SCAN, the Materials Project).

Results
- DFT total energy (eV per atom) = -20.997
- total magnetization (μB per cell) = 0.0

```
data_Ga3Bi5Cl12
_chemical_formula_sum 'Ga18 Bi30 Cl72'
_space_group_name_H-M_alt 'R 3 c'
_space_group_IT_number 161
_space_group_name_Hall 'R 3 -2"c'
_cell_length_a 11.8856
_cell_length_b 11.8856
_cell_length_c 30.3396
_cell_angle_alpha 90.00
_cell_angle_beta 90.00
_cell_angle_gamma 120.00
loop_
_atom_site_label
_atom_site_fract_x
_atom_site_fract_y
_atom_site_fract_z
Ga1 0.0003 0.4747 0.0000
Bi1 0.0000 0.0000 0.0785
Bi2 0.0000 0.0000 0.4222
Bi3 0.9999 0.1591 0.5003
Cl1 0.0050 0.4237 0.4409
Cl2 0.0538 0.2175 0.6590
Cl3 0.0897 0.3383 0.8922
Cl4 0.1702 0.4495 0.0079
```


# 4
# Hg3Bi2Te2Cl8

A geometry-optimized Hg3Bi2Te2Cl8 structure (meta-GGA r2SCAN, the Materials Project).

Results
- DFT total energy (eV per atom) = -25.160
- total magnetization (μB per cell) = 0.0

```
data_Hg3Bi2Te2Cl8
_chemical_formula_sum 'Hg12 Bi8 Te8 Cl32'
_space_group_name_H-M_alt 'C 1 2/c 1'
_space_group_IT_number 15
_cell_length_a 17.720
_cell_length_b 7.757
_cell_length_c 13.548
_cell_angle_alpha 90.00
_cell_angle_beta 104.86
_cell_angle_gamma 90.00
loop_
_space_group_symop_operation_xyz
'x,y,z'
'-x,-y,-z'
'-x,y,-z+1/2'
'x,-y,z+1/2'
'x+1/2,y+1/2,z'
'-x+1/2,-y+1/2,-z'
'-x+1/2,y+1/2,-z+1/2'
'x+1/2,-y+1/2,z+1/2'
loop_
_atom_site_label
_atom_site_fract_x
_atom_site_fract_y
_atom_site_fract_z
Hg1 0.246 0.014 0.256
Hg2 0.250 0.250 0.000
Bi1 0.039 0.233 0.437
Te1 0.165 0.250 0.805
Cl1 0.001 0.108 0.612
Cl2 0.102 0.268 0.276
Cl3 0.102 0.476 0.036
Cl4 0.173 0.108 0.524
```


# 5
# KBi6ClO9

A geometry-optimized KBi6ClO9 structure (meta-GGA r2SCAN, the Materials Project).

Results
- DFT total energy (eV per atom) = -25.951
- total magnetization (μB per cell) = 0.0

```
data_KBi6ClO9
_chemical_formula_sum 'K16 Bi96 Cl16 O144'
_space_group_name_H-M_alt 'I a -3 d'
_space_group_IT_number 230
_space_group_name_Hall '-I 4bd 2c 3'
_cell_length_a 17.154
_cell_length_b 17.154
_cell_length_c 17.154
_cell_angle_alpha 90.00
_cell_angle_beta 90.00
_cell_angle_gamma 90.00
loop_
_atom_site_label
_atom_site_fract_x
_atom_site_fract_y
_atom_site_fract_z
K1 0.000 0.000 0.000
Bi1 0.000 0.250 0.015
Bi2 0.107 0.125 0.857
Cl1 0.125 0.125 0.125
O1 0.001 0.151 0.938
O2 0.020 0.125 0.770
```


# 6
# BiSeCl

A geometry-optimized BiSeCl structure (meta-GGA r2SCAN, the Materials Project).

Results
- DFT total energy (eV per atom) = -27.056
- total magnetization (μB per cell) = 0.0

```
data_BiSeCl
_chemical_formula_sum 'Bi4 Se4 Cl4'
_space_group_name_H-M_alt 'P n m a'
_space_group_IT_number 62
_cell_length_a 8.881
_cell_length_b 4.174
_cell_length_c 9.170
_cell_angle_alpha 90.00
_cell_angle_beta 90.00
_cell_angle_gamma 90.00
loop_
_space_group_symop_operation_xyz
'x,y,z'
'-x,-y,-z'
'-x+1/2,-y,z+1/2'
'x+1/2,y,-z+1/2'
'x+1/2,-y+1/2,-z+1/2'
'-x+1/2,y+1/2,z+1/2'
'-x,y+1/2,-z'
'x,-y+1/2,z'
loop_
_atom_site_label
_atom_site_fract_x
_atom_site_fract_y
_atom_site_fract_z
Bi1 0.174 0.250 0.090
Se1 0.028 0.250 0.826
Cl1 0.162 0.250 0.439
```


# 7
# Bi3Te2Cl10

A geometry-optimized Bi3Te2Cl10 structure (meta-GGA r2SCAN, the Materials Project).

Results
- DFT total energy (eV per atom) = -20.088
- E above lowest polymorph (meV/atom) = 0
- total magnetization (μB per cell) = 0.0

```
data_Bi3Te2Cl10
_chemical_formula_sum 'Bi6 Te4 Cl20'
_space_group_name_H-M_alt 'P -1'
_space_group_IT_number 2
_cell_length_a 7.330
_cell_length_b 8.843
_cell_length_c 14.166
_cell_angle_alpha 87.40
_cell_angle_beta 82.84
_cell_angle_gamma 88.60
loop_
_space_group_symop_operation_xyz
'x,y,z'
'-x,-y,-z'
loop_
_atom_site_label
_atom_site_fract_x
_atom_site_fract_y
_atom_site_fract_z
Bi1 0.068 0.017 0.166
Bi2 0.093 0.488 0.747
Bi3 0.411 0.736 0.974
Te1 0.318 0.870 0.465
Te2 0.413 0.159 0.420
Cl1 0.038 0.086 0.346
Cl2 0.087 0.672 0.057
Cl3 0.156 0.531 0.355
Cl4 0.189 0.209 0.732
Cl5 0.229 0.283 0.151
Cl6 0.258 0.035 0.977
Cl7 0.273 0.784 0.807
Cl8 0.331 0.539 0.603
Cl9 0.363 0.875 0.193
Cl10 0.411 0.458 0.900
```


# 8
# Bi3Te2Cl10

A geometry-optimized Bi3Te2Cl10 structure (meta-GGA r2SCAN, the Materials Project).

Results
- DFT total energy (eV per atom) = -20.060
- E above lowest polymorph (meV/atom) = 28
- total magnetization (μB per cell) = 0.0

```
data_Bi3Te2Cl10
_chemical_formula_sum 'Bi6 Te4 Cl20'
_space_group_name_H-M_alt 'P -1'
_space_group_IT_number 2
_cell_length_a 6.975
_cell_length_b 10.909
_cell_length_c 14.930
_cell_angle_alpha 108.26
_cell_angle_beta 91.68
_cell_angle_gamma 105.26
loop_
_space_group_symop_operation_xyz
'x,y,z'
'-x,-y,-z'
loop_
_atom_site_label
_atom_site_fract_x
_atom_site_fract_y
_atom_site_fract_z
Bi1 0.078 0.023 0.246
Bi2 0.379 0.803 0.523
Bi3 0.401 0.472 0.332
Te1 0.085 0.356 0.019
Te2 0.228 0.628 0.083
Cl1 0.045 0.237 0.219
Cl2 0.054 0.864 0.574
Cl3 0.145 0.600 0.321
Cl4 0.211 0.935 0.085
Cl5 0.270 0.533 0.516
Cl6 0.274 0.115 0.825
Cl7 0.346 0.288 0.603
Cl8 0.351 0.951 0.395
Cl9 0.499 0.464 0.163
Cl10 0.500 0.198 0.304
```


# 9
# Tl3BiCl6

A geometry-optimized Tl3BiCl6 structure (meta-GGA r2SCAN, the Materials Project).

Results
- DFT total energy (eV per atom) = -26.634
- total magnetization (μB per cell) = 0.0

```
data_Tl3BiCl6
_chemical_formula_sum 'Tl6 Bi2 Cl12'
_space_group_name_H-M_alt 'P 42/m'
_space_group_IT_number 84
_cell_length_a 8.973
_cell_length_b 8.973
_cell_length_c 7.504
_cell_angle_alpha 90.00
_cell_angle_beta 90.00
_cell_angle_gamma 90.00
loop_
_space_group_symop_operation_xyz
'x,y,z'
'-x,-y,-z'
'-y,x,z+1/2'
'y,-x,-z+1/2'
'-x,-y,z'
'x,y,-z'
'y,-x,z+1/2'
'-y,x,-z+1/2'
loop_
_atom_site_label
_atom_site_fract_x
_atom_site_fract_y
_atom_site_fract_z
Tl1 0.000 0.000 0.000
Tl2 0.233 0.578 0.000
Bi1 0.000 0.500 0.500
Cl1 0.063 0.295 0.245
Cl2 0.296 0.563 0.500
```


# 10
# Dy5CoBi2

A geometry-optimized Dy5CoBi2 structure (meta-GGA r2SCAN, the Materials Project).

Results
- DFT total energy (eV per atom) = -36.892
- total magnetization (μB per cell) = 1.6

```
data_Dy5CoBi2
_chemical_formula_sum 'Dy20 Co4 Bi8'
_space_group_name_H-M_alt 'P n m a'
_space_group_IT_number 62
_cell_length_a 12.351
_cell_length_b 8.801
_cell_length_c 8.046
_cell_angle_alpha 90.00
_cell_angle_beta 90.00
_cell_angle_gamma 90.00
loop_
_space_group_symop_operation_xyz
'x,y,z'
'-x,-y,-z'
'-x+1/2,-y,z+1/2'
'x+1/2,y,-z+1/2'
'x+1/2,-y+1/2,-z+1/2'
'-x+1/2,y+1/2,z+1/2'
'-x,y+1/2,-z'
'x,-y+1/2,z'
loop_
_atom_site_label
_atom_site_fract_x
_atom_site_fract_y
_atom_site_fract_z
Dy1 0.002 0.250 0.051
Dy2 0.063 0.536 0.325
Dy3 0.189 0.250 0.617
Dy4 0.198 0.750 0.652
Co1 0.008 0.250 0.437
Bi1 0.173 0.009 0.930
```


# 11
# Er6CoBi2

A geometry-optimized Er6CoBi2 structure (meta-GGA r2SCAN, the Materials Project).

Results
- DFT total energy (eV per atom) = -37.605
- total magnetization (μB per cell) = 3.3

```
data_Er6CoBi2
_chemical_formula_sum 'Er6 Co1 Bi2'
_space_group_name_H-M_alt 'P -6 2 m'
_space_group_IT_number 189
_space_group_name_Hall 'P -6 -2'
_cell_length_a 8.2523
_cell_length_b 8.2523
_cell_length_c 4.0975
_cell_angle_alpha 90.00
_cell_angle_beta 90.00
_cell_angle_gamma 120.00
loop_
_atom_site_label
_atom_site_fract_x
_atom_site_fract_y
_atom_site_fract_z
Er1 0.0000 0.2338 0.0000
Er2 0.0000 0.6086 0.5000
Co1 0.0000 0.0000 0.5000
Bi1 0.3333 0.6667 0.0000
```


Computed ΔE_f, in the same sequence as the records: -0.84, -1.04, -0.96, -0.82, -1.43, -0.73, -0.90, -0.87, -1.14, -0.62, -0.52 eV/atom.